Entry 1:
The following is a DFT calculation (PBE) of an optimized crystal structure of Pm3Hf.

Computed properties:
total moment: 0.0 Bohr magnetons per cell
energy of formation: 184 meV/atom
volume: 30.7 A^3/atom
distance to the lowest polymorph of the same formula: 0.000 eV per atom

Cell: 4.973 4.973 4.973 Å, 90.00 90.00 90.00°
Space group Pm-3m (No. 221)
Inequivalent atoms, fractional coordinates:
Pm 0.000 0.000 0.500
Hf 0.500 0.500 0.500


Entry 2:
The following is a DFT calculation (PBE) of an optimized crystal structure of Ga2Sn3N4.

Computed properties:
total moment: 0.0 Bohr magnetons per cell
energy of formation: 86 meV/atom
volume: 16.7 A^3/atom
distance to the lowest polymorph of the same formula: 0.229 eV per atom

Cell: 6.395 10.823 8.672 Å, 90.00 90.00 90.00°
Space group Pnna (No. 52)
Inequivalent atoms, fractional coordinates:
Ga 0.211 0.250 0.250
Ga 0.250 0.000 0.211
Sn 0.208 0.142 0.869
Sn 0.250 0.000 0.548
N 0.094 0.104 0.359
N 0.136 0.643 0.404


Entry 3:
The following is a DFT calculation (PBE) of an optimized crystal structure of Li8Te2O9.

Computed properties:
total moment: 0.0 Bohr magnetons per cell
energy of formation: -2049 meV/atom
volume: 10.6 A^3/atom

Cell: 6.021 9.144 15.711 Å, 86.97 79.31 70.93°
Space group P-1 (No. 2)
Inequivalent atoms, fractional coordinates:
Li 0.011 0.136 0.047
Li 0.059 0.632 0.457
Li 0.094 0.878 0.736
Li 0.098 0.412 0.139
Li 0.168 0.622 0.239
Li 0.177 0.882 0.537
Li 0.211 0.381 0.960
Li 0.237 0.910 0.354
Li 0.292 0.378 0.762
Li 0.297 0.617 0.046
Li 0.341 0.116 0.452
Li 0.374 0.827 0.153
Li 0.413 0.371 0.526
Li 0.440 0.869 0.974
Li 0.446 0.124 0.262
Li 0.475 0.662 0.648
Te 0.005 0.367 0.358
Te 0.137 0.131 0.864
Te 0.245 0.128 0.643
Te 0.395 0.622 0.852
O 0.023 0.356 0.858
O 0.042 0.871 0.268
O 0.056 0.125 0.554
O 0.114 0.622 0.940
O 0.119 0.353 0.648
O 0.126 0.143 0.347
O 0.154 0.881 0.061
O 0.209 0.381 0.439
O 0.222 0.620 0.758
O 0.272 0.848 0.852
O 0.276 0.625 0.553
O 0.324 0.129 0.955
O 0.329 0.374 0.236
O 0.359 0.901 0.646
O 0.423 0.374 0.057
O 0.447 0.134 0.730
O 0.483 0.867 0.446
O 0.488 0.606 0.153


Entry 4:
The following is a DFT calculation (PBE) of an optimized crystal structure of CePt2.

Computed properties:
energy of formation: -997 meV/atom
volume: 19.6 A^3/atom

Cell: 7.771 7.771 7.771 Å, 90.00 90.00 90.00°
Space group Fd-3m (No. 227, origin choice 2)
Inequivalent atoms, fractional coordinates:
Ce 0.125 0.125 0.125
Pt 0.000 0.000 0.500


Entry 5:
The following is a DFT calculation (PBE) of an optimized crystal structure of CsNaNbOF5.

Computed properties:
total moment: 0.0 Bohr magnetons per cell
energy of formation: -3267 meV/atom
volume: 18.4 A^3/atom

Cell: 8.596 13.536 11.409 Å, 90.00 90.00 90.00°
Space group Pbcn (No. 60)
Inequivalent atoms, fractional coordinates:
Cs 0.000 0.081 0.250
Cs 0.000 0.383 0.750
Na 0.246 0.353 0.077
Nb 0.245 0.367 0.415
O 0.220 0.411 0.269
F 0.024 0.377 0.463
F 0.026 0.152 0.902
F 0.212 0.002 0.987
F 0.222 0.222 0.383
F 0.227 0.186 0.091


Entry 6:
The following is a DFT calculation (PBE) of an optimized crystal structure of UP2O13.

Computed properties:
total moment: 32.0 Bohr magnetons per cell
energy of formation: -1288 meV/atom
volume: 18.1 A^3/atom

Cell: 10.949 13.738 8.005 Å, 90.00 106.26 90.00°
Space group P2_1/c (No. 14)
Inequivalent atoms, fractional coordinates:
U 0.247 0.077 0.198
P 0.039 0.647 0.652
P 0.405 0.601 0.063
O 0.001 0.153 0.676
O 0.081 0.153 0.004
O 0.103 0.616 0.088
O 0.114 0.556 0.635
O 0.131 0.736 0.677
O 0.181 0.108 0.374
O 0.299 0.240 0.173
O 0.317 0.045 0.028
O 0.321 0.606 0.180
O 0.360 0.711 0.505
O 0.362 0.561 0.882
O 0.447 0.655 0.575
O 0.457 0.129 0.372


What did the sixth record say?
The following is a DFT calculation (PBE) of an optimized crystal structure of UP2O13.

Computed properties:
total moment: 32.0 Bohr magnetons per cell
energy of formation: -1288 meV/atom
volume: 18.1 A^3/atom

Cell: 10.949 13.738 8.005 Å, 90.00 106.26 90.00°
Space group P2_1/c (No. 14)
Inequivalent atoms, fractional coordinates:
U 0.247 0.077 0.198
P 0.039 0.647 0.652
P 0.405 0.601 0.063
O 0.001 0.153 0.676
O 0.081 0.153 0.004
O 0.103 0.616 0.088
O 0.114 0.556 0.635
O 0.131 0.736 0.677
O 0.181 0.108 0.374
O 0.299 0.240 0.173
O 0.317 0.045 0.028
O 0.321 0.606 0.180
O 0.360 0.711 0.505
O 0.362 0.561 0.882
O 0.447 0.655 0.575
O 0.457 0.129 0.372